Record 1
Cs3Rb: optimized geometry, PBE-GGA.

Cell: 10.748 10.748 8.715 Å, 90.00 90.00 120.00°
Fractional positions:
1 Cs 0.168 0.336 0.250
2 Cs 0.168 0.832 0.250
3 Cs 0.336 0.168 0.750
4 Cs 0.664 0.832 0.250
5 Cs 0.832 0.168 0.750
6 Cs 0.832 0.664 0.750
7 Rb 0.333 0.667 0.750
8 Rb 0.667 0.333 0.250

## Properties
Mass density ... 1845 kg/m3
Symmetry ... P6_3/mmc, No. 194

---

Record 2
Ga2O3: optimized geometry, PBE-GGA.

Cell: 6.414 6.414 5.876 Å, 103.28 103.28 27.81°
Fractional positions:
1 Ga 0.090 0.090 0.295
2 Ga 0.342 0.342 0.186
3 Ga 0.658 0.658 0.814
4 Ga 0.910 0.910 0.705
5 O 0.164 0.164 0.609
6 O 0.174 0.174 0.064
7 O 0.496 0.496 0.756
8 O 0.504 0.504 0.244
9 O 0.826 0.826 0.936
10 O 0.836 0.836 0.391

## Properties
Mass density ... 5680 kg/m3
Symmetry ... C2/m, No. 12

---

Record 3
VH2: optimized geometry, PBE-GGA.

Cell: 2.980 2.980 2.980 Å, 60.00 60.00 60.00°
Fractional positions:
1 V 0.000 0.000 0.000
2 H 0.250 0.250 0.250
3 H 0.750 0.750 0.750

## Properties
Mass density ... 4698 kg/m3
Symmetry ... Fm-3m, No. 225

---

Record 4
SrMg6Co: optimized geometry, PBE-GGA.

Cell: 4.911 6.046 13.222 Å, 90.00 90.00 90.00°
Fractional positions:
1 Sr 0.500 0.500 0.198
2 Sr 0.500 0.000 0.698
3 Mg 0.500 0.245 0.442
4 Mg 0.500 0.755 0.442
5 Mg 0.000 0.765 0.077
6 Mg 0.000 0.235 0.077
7 Mg 0.000 0.000 0.291
8 Mg 0.000 0.500 0.369
9 Mg 0.500 0.745 0.942
10 Mg 0.500 0.255 0.942
11 Mg 0.000 0.265 0.577
12 Mg 0.000 0.735 0.577
13 Mg 0.000 0.500 0.791
14 Mg 0.000 0.000 0.869
15 Co 0.500 0.000 0.103
16 Co 0.500 0.500 0.603

## Properties
M_tot ... 1.16 μB/f.u.
Mass density ... 2473 kg/m3

---

Record 5
V2AgN3: optimized geometry, PBE-GGA.

Cell: 2.949 2.949 26.202 Å, 90.00 90.00 120.00°
Fractional positions:
1 V 0.055 0.290 0.453
2 V 0.235 0.945 0.120
3 V 0.290 0.055 0.547
4 V 0.710 0.765 0.786
5 V 0.765 0.710 0.214
6 V 0.945 0.235 0.880
7 Ag 0.000 0.362 0.667
8 Ag 0.362 0.000 0.333
9 Ag 0.638 0.638 0.000
10 N 0.000 0.327 0.167
11 N 0.011 0.366 0.748
12 N 0.327 0.000 0.833
13 N 0.355 0.989 0.415
14 N 0.366 0.011 0.252
15 N 0.634 0.645 0.082
16 N 0.645 0.634 0.918
17 N 0.673 0.673 0.500
18 N 0.989 0.355 0.585

## Properties
M_tot ... 0.00 μB/f.u.
Mass density ... 6354 kg/m3
Symmetry ... P3_121, No. 152

---

| no. | E_form (eV/atom) |
| --- | --- |
| 1 | 0.056 |
| 2 | -2.269 |
| 3 | -0.323 |
| 4 | 0.181 |
| 5 | -0.652 |